# 1
# MgW2O4

A relaxed structure of MgW2O4 (PBE with a Hubbard U, the Materials Project database).

Computed properties:
E above lowest polymorph: 35.7 meV/atom
DFT formation energy: -1.88 eV per atom

Cell lengths 6.4566, 6.4566, 15.5303 Å; angles 91.11, 91.11, 59.11 degrees
Closest atoms and distances in Å follow each position.
Fractional coordinates of all 42 atoms:
Mg 0.0000 0.0000 0.0000  4 O 2.07
Mg 0.9998 0.9998 0.2505  4 O 2.06-2.07
Mg 0.0014 0.0014 0.6202  6 O 2.10-2.23
Mg 0.3333 0.3333 0.3356  4 O 2.06-2.08
Mg 0.3355 0.3355 0.5795  4 O 2.05-2.09
Mg 0.6650 0.6650 0.9168  4 O 2.04-2.09
W 0.0005 0.4993 0.1253  6 O 2.20-2.22
W 0.1635 0.1635 0.7891  6 O 2.19-2.21
W 0.1627 0.6656 0.7898  6 O 2.14-2.22
W 0.3315 0.3315 0.9574  6 O 2.20-2.22
W 0.3331 0.8364 0.4612  6 O 2.19-2.22
W 0.4993 0.0005 0.1253  6 O 2.20-2.22
W 0.4998 0.4998 0.1250  6 O 2.20-2.21
W 0.6656 0.1627 0.7898  6 O 2.14-2.22
W 0.6662 0.6662 0.2929  6 O 2.20-2.22
W 0.6708 0.6708 0.6703  4 O 2.11
W 0.8364 0.3331 0.4612  6 O 2.19-2.22
W 0.8382 0.8382 0.4595  6 O 2.17-2.22
O 0.0004 0.0004 0.3828  1 Mg 2.06, 3 W 2.20
O 0.0010 0.0010 0.8667  1 Mg 2.07, 3 W 2.20-2.21
O 0.0129 0.4932 0.8696  1 Mg 2.07, 3 W 2.20-2.22
O 0.1576 0.1576 0.5445  2 Mg 2.06-2.13, 2 W 2.19
O 0.1636 0.6878 0.5401  2 Mg 2.05-2.13, 2 W 2.18-2.19
O 0.1698 0.6497 0.0439  1 Mg 2.07, 3 W 2.20-2.22
O 0.1761 0.1761 0.0414  1 Mg 2.07, 3 W 2.20
O 0.3116 0.8288 0.7129  3 W 2.11-2.19, 1 Mg 2.23
O 0.3280 0.3280 0.7141  1 Mg 2.09, 3 W 2.20-2.21
O 0.3365 0.3365 0.2018  1 Mg 2.08, 3 W 2.20-2.21
O 0.3490 0.8297 0.2049  1 Mg 2.07, 3 W 2.20-2.21
O 0.4877 0.4877 0.8731  1 Mg 2.09, 3 W 2.21
O 0.4932 0.0129 0.8696  1 Mg 2.07, 3 W 2.20-2.22
O 0.5052 0.9831 0.3792  1 Mg 2.06, 3 W 2.20-2.22
O 0.5107 0.5107 0.3773  1 Mg 2.08, 3 W 2.21-2.22
O 0.6497 0.1698 0.0439  1 Mg 2.07, 3 W 2.20-2.22
O 0.6636 0.6636 0.0482  1 Mg 2.04, 3 W 2.21
O 0.6777 0.6777 0.5344  4 W 2.11-2.21
O 0.6878 0.1636 0.5401  2 Mg 2.05-2.13, 2 W 2.18-2.19
O 0.8232 0.8232 0.2085  1 Mg 2.07, 3 W 2.20-2.22
O 0.8288 0.3116 0.7129  3 W 2.11-2.19, 1 Mg 2.23
O 0.8297 0.3490 0.2049  1 Mg 2.07, 3 W 2.20-2.21
O 0.8546 0.8546 0.7013  1 Mg 2.10, 3 W 2.11-2.19
O 0.9831 0.5052 0.3792  1 Mg 2.06, 3 W 2.20-2.22

***

# 2
# CoCuCO5

A relaxed structure of CoCuCO5 (PBE with a Hubbard U, the Materials Project database).

Computed properties:
DFT formation energy: -1.21 eV per atom

Cell lengths 2.9791, 9.1399, 11.8880 Å; angles 89.98, 84.38, 89.46 degrees
Closest atoms and distances in Å follow each position.
Fractional coordinates of all 32 atoms:
Co 0.0846 0.2300 0.1213  5 O 1.89-2.09
Co 0.0909 0.2630 0.6213  6 O 1.89-1.95
Co 0.9091 0.7370 0.3787  6 O 1.89-1.95
Co 0.9154 0.7700 0.8787  5 O 1.89-2.09
Cu 0.4859 0.5035 0.7810  4 O 1.85-1.96
Cu 0.4881 0.9988 0.2913  4 O 1.86-2.00
Cu 0.5119 0.0012 0.7087  4 O 1.86-2.00
Cu 0.5141 0.4965 0.2190  4 O 1.85-1.96
C 0.1122 0.2701 0.3794  3 O 1.26-1.33
C 0.1149 0.2337 0.8664  3 O 1.25-1.35
C 0.8851 0.7663 0.1336  3 O 1.25-1.35
C 0.8878 0.7299 0.6206  3 O 1.26-1.33
O 0.0694 0.1283 0.3765  1 C 1.30
O 0.0791 0.3756 0.8663  1 C 1.30
O 0.1036 0.1647 0.7663  1 C 1.35
O 0.1142 0.3410 0.2821  1 C 1.33
O 0.1266 0.3419 0.4696  1 C 1.26
O 0.1343 0.1582 0.9532  1 C 1.25
O 0.3961 0.8634 0.4109  1 Cu 1.89, 2 Co 1.92-1.93
O 0.4076 0.6356 0.9051  1 Cu 1.90, 2 Co 1.95-1.96
O 0.4323 0.8901 0.8404  1 Cu 1.86, 2 Co 1.89-1.92
O 0.4341 0.6122 0.3468  1 Cu 1.85, 2 Co 1.89-1.93
O 0.5659 0.3878 0.6532  1 Cu 1.85, 2 Co 1.89-1.93
O 0.5677 0.1099 0.1596  1 Cu 1.86, 2 Co 1.89-1.92
O 0.5924 0.3644 0.0949  1 Cu 1.90, 2 Co 1.95-1.96
O 0.6039 0.1366 0.5891  1 Cu 1.89, 2 Co 1.92-1.93
O 0.8657 0.8418 0.0468  1 C 1.25
O 0.8734 0.6581 0.5304  1 C 1.26
O 0.8858 0.6590 0.7179  1 C 1.33
O 0.8964 0.8353 0.2337  1 C 1.35
O 0.9209 0.6244 0.1337  1 C 1.30
O 0.9306 0.8717 0.6235  1 C 1.30

***

# 3
# Li3Mn4B4O12

A relaxed structure of Li3Mn4B4O12 (PBE with a Hubbard U, the Materials Project database).

Computed properties:
E above lowest polymorph: 5.1 meV/atom
DFT formation energy: -2.47 eV per atom

Cell lengths 9.0956, 9.1043, 11.6625 Å; angles 67.43, 68.60, 60.05 degrees
Closest atoms and distances in Å follow each position.
Fractional coordinates of all 69 atoms:
Li 0.0000 0.0000 0.0000  4 O 1.87-2.05
Li 0.0416 0.3338 0.2418  4 O 1.94-2.10
Li 0.1700 0.1234 0.4871  3 O 1.93-1.98
Li 0.2148 0.5065 0.7361  3 O 1.92-2.00
Li 0.3286 0.3082 0.0062  4 O 1.93-2.14
Li 0.5037 0.4814 0.4960  3 O 1.89-2.01
Li 0.6491 0.6758 0.9963  4 O 1.90-2.12
Li 0.6968 0.0167 0.2476  4 O 1.93-2.06
Li 0.8096 0.8130 0.5053  3 O 1.93-1.99
Mn 0.0026 0.3460 0.9581  5 O 2.11-2.23
Mn 0.0531 0.6978 0.2163  4 O 2.07-2.15
Mn 0.1698 0.8110 0.4575  5 O 2.08-2.22
Mn 0.2050 0.1630 0.7221  4 O 2.00-2.18
Mn 0.3338 0.6418 0.9612  5 O 1.95-2.07
Mn 0.3949 0.9714 0.2099  4 O 1.94-2.02
Mn 0.4906 0.1886 0.4559  5 O 1.95-2.15
Mn 0.5741 0.5074 0.7133  5 O 2.07-2.31
Mn 0.6813 0.0121 0.9516  4 O 2.04-2.21
Mn 0.6917 0.3808 0.2087  5 O 2.03-2.26
Mn 0.8575 0.4818 0.4631  5 O 2.09-2.32
Mn 0.8694 0.8536 0.7121  4 O 2.03-2.26
B 0.0156 0.6693 0.9570  3 O 1.38-1.41
B 0.0298 0.0486 0.2040  3 O 1.38-1.40
B 0.1845 0.4887 0.4517  3 O 1.36-1.41
B 0.2203 0.8268 0.7032  3 O 1.35-1.41
B 0.3380 0.9789 0.9713  3 O 1.35-1.44
B 0.3744 0.3454 0.2029  3 O 1.36-1.42
B 0.5229 0.8260 0.4472  3 O 1.37-1.43
B 0.5346 0.1946 0.6956  3 O 1.37-1.42
B 0.6805 0.3318 0.9653  3 O 1.36-1.41
B 0.7217 0.7002 0.2030  3 O 1.36-1.43
B 0.8477 0.1565 0.4510  3 O 1.38-1.42
B 0.8990 0.5088 0.6986  3 O 1.36-1.41
O 0.0232 0.6058 0.4195  1 B 1.40
O 0.0486 0.4148 0.7499  1 B 1.41
O 0.0716 0.7597 0.9952  1 B 1.41
O 0.1224 0.4985 0.9492  1 B 1.38
O 0.1473 0.7541 0.6650  1 B 1.40
O 0.1776 0.0004 0.6628  1 B 1.35
O 0.1805 0.9458 0.2524  1 B 1.40
O 0.1852 0.0934 0.9267  1 B 1.40
O 0.2336 0.3083 0.4756  1 B 1.41
O 0.2921 0.5484 0.4561  1 B 1.36
O 0.3027 0.2512 0.1935  1 B 1.36
O 0.3129 0.5276 0.1497  1 B 1.41
O 0.3453 0.7104 0.7787  1 B 1.41
O 0.3691 0.9072 0.3992  1 B 1.43
O 0.4069 0.0489 0.0209  1 B 1.44
O 0.4191 0.8095 0.9685  1 B 1.35
O 0.4668 0.3708 0.6842  1 B 1.37
O 0.4689 0.1331 0.6386  1 B 1.42
O 0.5168 0.2647 0.2622  1 B 1.42
O 0.5199 0.4114 0.9292  1 B 1.41
O 0.5854 0.6460 0.5002  1 B 1.39
O 0.6036 0.9250 0.4371  1 B 1.37
O 0.6267 0.6372 0.1844  1 B 1.36
O 0.6514 0.8867 0.1770  1 B 1.43
O 0.6601 0.0734 0.7635  1 B 1.37
O 0.6824 0.2630 0.4195  1 B 1.42
O 0.7292 0.4298 0.9988  1 B 1.39
O 0.7806 0.1604 0.9663  1 B 1.36
O 0.8115 0.6857 0.6807  1 B 1.36
O 0.8421 0.4171 0.6648  1 B 1.40
O 0.8543 0.7575 0.9244  1 B 1.39
O 0.8752 0.5956 0.2457  1 B 1.39
O 0.8991 0.9776 0.4974  1 B 1.38
O 0.9455 0.9657 0.1932  1 B 1.38
O 0.9528 0.2362 0.4311  1 B 1.38
O 0.9680 0.2297 0.1678  1 B 1.39